# 1
## Ac3Cr (PBE)

Data for crystalline Ac3Cr at its relaxed geometry. Values from VASP.

Properties
Calculated formation energy ... 43.5 kJ per mole of atoms
Final energy ... -5.05 eV/atom
Magnetization ... 3.6 μB/f.u.
Calculated density ... 8.1 g cm⁻³

```
&SYSTEM
  ibrav = 0, nat = 4, ntyp = 2
/
ATOMIC_SPECIES
Ac 227.00 Ac.upf
Cr 52.00 Cr.upf
CELL_PARAMETERS angstrom
-1.458 -4.057 3.115
-2.482 -2.271 -4.119
4.472 -2.583 -1.271
ATOMIC_POSITIONS angstrom
Ac 1.507 -3.320 0.922
Ac 0.995 -2.427 -2.695
Ac -1.970 -3.164 -0.502
Cr 0.000 0.000 0.000
```

# 2
## ErNiB4 (PBE)

Data for crystalline ErNiB4 at its relaxed geometry. Values from VASP.

Properties
Calculated formation energy ... -53.6 kJ per mole of atoms
Final energy ... -6.73 eV/atom
Offset from the most stable computed form ... 22 meV/atom
Magnetization ... 0.0 μB/f.u.
Calculated density ... 7.9 g cm⁻³

```
&SYSTEM
  ibrav = 0, nat = 24, ntyp = 3
/
ATOMIC_SPECIES
B 10.81 B.upf
Ni 58.69 Ni.upf
Er 167.26 Er.upf
CELL_PARAMETERS angstrom
-2.736 0.295 1.984
-3.437 0.119 -4.757
-0.938 -11.350 0.393
ATOMIC_POSITIONS angstrom
B -2.271 -6.053 0.668
B -2.741 -0.346 -0.829
B -2.642 -3.394 -0.239
B -3.918 -8.964 -1.171
B -4.239 -1.858 -2.669
B -4.059 -5.827 -1.832
B -4.369 -10.590 -1.552
B -4.468 -7.542 -2.141
B -3.192 -1.972 -1.209
B -3.051 -5.109 -0.549
B -2.872 -9.078 0.289
B -2.090 -7.701 1.162
B -4.839 -4.883 -3.048
B -4.363 -0.125 -3.098
B -2.748 -10.811 0.718
B -5.020 -3.235 -3.542
Ni -2.113 -10.305 -1.383
Ni -0.846 -4.658 -0.475
Ni -3.528 -6.573 -3.889
Ni -2.261 -0.926 -2.981
Er -1.891 -7.337 -1.518
Er -2.484 -3.894 -2.846
Er -3.797 -9.540 -3.818
Er -0.578 -1.691 -0.546
```

# 3
## KO2 (PBE)

Data for crystalline KO2 at its relaxed geometry. Values from VASP.

Properties
Calculated formation energy ... -90.9 kJ per mole of atoms
Final energy ... -4.50 eV/atom
Offset from the most stable computed form ... 45 meV/atom
Magnetization ... 1.0 μB/f.u.
Calculated density ... 2.0 g cm⁻³

```
&SYSTEM
  ibrav = 0, nat = 12, ntyp = 2
/
ATOMIC_SPECIES
O 16.00 O.upf
K 39.10 K.upf
CELL_PARAMETERS angstrom
-3.051 4.451 3.061
-5.330 -3.053 -0.873
0.880 -3.060 5.325
ATOMIC_POSITIONS angstrom
O -2.368 -4.305 4.690
O -4.802 -3.917 1.702
O -6.656 -0.547 1.241
O -3.278 -0.726 3.283
O -4.223 -0.935 4.230
O -0.844 -1.114 6.272
O -5.132 2.644 2.822
O -2.699 2.255 5.811
K -4.190 0.699 1.094
K -1.085 0.696 4.193
K 0.000 0.000 0.000
K -2.225 -3.056 2.226
```

# 4
## CeTm4S7 (PBE)

Data for crystalline CeTm4S7 at its relaxed geometry. Values from VASP.

Properties
Calculated formation energy ... -222.4 kJ per mole of atoms
Final energy ... -6.41 eV/atom
Magnetization ... 1.3 μB/f.u.
Calculated density ... 6.3 g cm⁻³

```
&SYSTEM
  ibrav = 0, nat = 12, ntyp = 3
/
ATOMIC_SPECIES
S 32.06 S.upf
Tm 168.93 Tm.upf
Ce 140.12 Ce.upf
CELL_PARAMETERS angstrom
0.001 -3.919 5.463
2.989 -4.981 3.385
7.099 5.476 7.411
ATOMIC_POSITIONS angstrom
S 3.224 -0.322 4.801
S 8.710 -0.672 12.868
S 1.611 0.739 1.940
S 5.095 -1.735 8.213
S 6.853 -2.972 11.373
S 1.377 -2.771 3.396
S 8.441 -4.226 14.298
Tm 3.413 -5.201 7.566
Tm 4.468 2.167 5.318
Tm 7.084 5.461 7.396
Tm 6.672 1.767 8.692
Ce 5.642 -5.589 10.969
```